No. 1
! Na11Ti20O40, relaxed, DFT PBE-GGA; values from VASP
! **Spin magnetization**: 6.8 μB per cell
! **Formation enthalpy at 0 K**: -3.0323 eV/atom
&SYSTEM
  ibrav = 0, nat = 71, ntyp = 3
/
ATOMIC_SPECIES
Na 22.99 Na.upf
Ti 47.87 Ti.upf
O 16.00 O.upf
ATOMIC_POSITIONS crystal
Na 0.000 0.000 0.000
Na 0.103 0.103 0.104
Na 0.203 0.203 0.204
Na 0.303 0.303 0.304
Na 0.406 0.406 0.407
Na 0.503 0.503 0.504
Na 0.552 0.552 0.053
Na 0.653 0.653 0.154
Na 0.753 0.753 0.254
Na 0.854 0.854 0.354
Na 0.903 0.903 0.903
Ti 0.028 0.028 0.279
Ti 0.076 0.076 0.828
Ti 0.129 0.129 0.378
Ti 0.172 0.172 0.930
Ti 0.234 0.234 0.478
Ti 0.277 0.277 0.029
Ti 0.330 0.330 0.580
Ti 0.378 0.378 0.129
Ti 0.428 0.428 0.679
Ti 0.478 0.478 0.229
Ti 0.527 0.527 0.778
Ti 0.577 0.577 0.328
Ti 0.633 0.633 0.878
Ti 0.674 0.674 0.429
Ti 0.732 0.732 0.979
Ti 0.772 0.772 0.529
Ti 0.829 0.829 0.079
Ti 0.879 0.879 0.629
Ti 0.928 0.928 0.179
Ti 0.978 0.978 0.728
O 0.028 0.028 0.692
O 0.028 0.028 0.867
O 0.066 0.066 0.415
O 0.095 0.095 0.242
O 0.123 0.123 0.966
O 0.128 0.128 0.793
O 0.168 0.168 0.514
O 0.194 0.194 0.342
O 0.212 0.212 0.066
O 0.238 0.238 0.893
O 0.278 0.278 0.614
O 0.284 0.284 0.441
O 0.311 0.311 0.166
O 0.340 0.340 0.993
O 0.378 0.378 0.541
O 0.378 0.378 0.715
O 0.411 0.411 0.266
O 0.445 0.445 0.092
O 0.478 0.478 0.642
O 0.478 0.478 0.816
O 0.513 0.513 0.366
O 0.544 0.544 0.192
O 0.568 0.568 0.914
O 0.578 0.578 0.743
O 0.625 0.625 0.466
O 0.645 0.645 0.292
O 0.663 0.663 0.016
O 0.679 0.679 0.843
O 0.727 0.727 0.565
O 0.743 0.743 0.392
O 0.761 0.761 0.116
O 0.781 0.781 0.941
O 0.828 0.828 0.665
O 0.838 0.838 0.493
O 0.862 0.862 0.216
O 0.893 0.893 0.042
O 0.928 0.928 0.592
O 0.928 0.928 0.765
O 0.961 0.961 0.316
O 0.995 0.995 0.142
CELL_PARAMETERS angstrom
5.681 -1.507 0.000
5.681 1.507 0.000
-3.294 0.000 51.016

=====

No. 2
! NaTi2O4, relaxed, DFT PBE-GGA; values from VASP
! **Spin magnetization**: 4.0 μB per cell
! **Formation enthalpy at 0 K**: -2.6160 eV/atom
! **Energy above the lowest structure with this stoichiometry**: 0.5237 eV/atom
&SYSTEM
  ibrav = 0, nat = 28, ntyp = 3
/
ATOMIC_SPECIES
Na 22.99 Na.upf
Ti 47.87 Ti.upf
O 16.00 O.upf
ATOMIC_POSITIONS crystal
Na 0.197 0.250 0.060
Na 0.303 0.750 0.560
Na 0.697 0.250 0.440
Na 0.803 0.750 0.940
Ti 0.046 0.750 0.246
Ti 0.193 0.250 0.481
Ti 0.307 0.750 0.981
Ti 0.454 0.250 0.746
Ti 0.546 0.750 0.254
Ti 0.693 0.250 0.019
Ti 0.807 0.750 0.519
Ti 0.954 0.250 0.754
O 0.036 0.750 0.455
O 0.073 0.750 0.040
O 0.186 0.250 0.300
O 0.199 0.250 0.754
O 0.301 0.750 0.254
O 0.314 0.750 0.800
O 0.427 0.250 0.540
O 0.464 0.250 0.955
O 0.536 0.750 0.045
O 0.573 0.750 0.460
O 0.686 0.250 0.200
O 0.699 0.250 0.746
O 0.801 0.750 0.246
O 0.814 0.750 0.700
O 0.927 0.250 0.960
O 0.964 0.250 0.545
CELL_PARAMETERS angstrom
7.671 0.000 0.000
0.000 10.597 0.000
0.000 0.000 9.274

=====

No. 3
! Na2TiO3, relaxed, DFT PBE-GGA; values from VASP
! **Formation enthalpy at 0 K**: -2.7464 eV/atom
&SYSTEM
  ibrav = 0, nat = 24, ntyp = 3
/
ATOMIC_SPECIES
Na 22.99 Na.upf
Ti 47.87 Ti.upf
O 16.00 O.upf
ATOMIC_POSITIONS crystal
Na 0.000 0.500 0.500
Na 0.082 0.918 0.750
Na 0.159 0.317 0.999
Na 0.317 0.159 0.499
Na 0.500 0.000 0.000
Na 0.683 0.841 0.501
Na 0.841 0.683 0.001
Na 0.918 0.082 0.250
Ti 0.253 0.747 0.250
Ti 0.415 0.585 0.750
Ti 0.585 0.415 0.250
Ti 0.747 0.253 0.750
O 0.049 0.261 0.648
O 0.117 0.573 0.851
O 0.261 0.049 0.148
O 0.331 0.496 0.351
O 0.427 0.883 0.649
O 0.496 0.331 0.851
O 0.504 0.669 0.149
O 0.573 0.117 0.351
O 0.669 0.504 0.649
O 0.739 0.951 0.852
O 0.883 0.427 0.149
O 0.951 0.739 0.352
CELL_PARAMETERS angstrom
2.686 -4.655 0.000
2.686 4.655 0.000
-1.862 0.000 10.911

=====

No. 4
! Na4Ti7O16, relaxed, DFT PBE-GGA; values from VASP
! **Spin magnetization**: 0.0 μB per cell
! **Formation enthalpy at 0 K**: -3.1121 eV/atom
! **Energy above the lowest structure with this stoichiometry**: 0.0338 eV/atom
&SYSTEM
  ibrav = 0, nat = 27, ntyp = 3
/
ATOMIC_SPECIES
Na 22.99 Na.upf
Ti 47.87 Ti.upf
O 16.00 O.upf
ATOMIC_POSITIONS crystal
Na 0.000 0.000 0.000
Na 0.040 0.000 0.695
Na 0.522 0.243 0.584
Na 0.522 0.757 0.584
Ti 0.024 0.500 0.691
Ti 0.085 0.252 0.400
Ti 0.085 0.748 0.400
Ti 0.518 0.247 0.902
Ti 0.518 0.753 0.902
Ti 0.572 0.000 0.199
Ti 0.609 0.500 0.176
O 0.255 0.000 0.479
O 0.261 0.282 0.775
O 0.261 0.718 0.775
O 0.263 0.500 0.492
O 0.382 0.000 0.010
O 0.394 0.500 0.009
O 0.406 0.251 0.268
O 0.406 0.749 0.268
O 0.686 0.000 0.814
O 0.738 0.247 0.081
O 0.738 0.753 0.081
O 0.741 0.500 0.806
O 0.881 0.000 0.312
O 0.905 0.276 0.564
O 0.905 0.500 0.304
O 0.905 0.724 0.564
CELL_PARAMETERS angstrom
5.518 0.000 0.000
0.000 6.034 0.000
-0.206 0.000 9.581

=====

No. 5
! Na13Ti24O54, relaxed, DFT PBE-GGA; values from VASP
! **Spin magnetization**: 1.0 μB per cell
! **Formation enthalpy at 0 K**: -3.1941 eV/atom
&SYSTEM
  ibrav = 0, nat = 91, ntyp = 3
/
ATOMIC_SPECIES
Na 22.99 Na.upf
Ti 47.87 Ti.upf
O 16.00 O.upf
ATOMIC_POSITIONS crystal
Na 0.000 0.000 0.000
Na 0.041 0.392 0.431
Na 0.100 0.594 0.288
Na 0.185 0.897 0.420
Na 0.243 0.700 0.873
Na 0.397 0.193 0.862
Na 0.468 0.598 0.286
Na 0.515 0.897 0.419
Na 0.578 0.690 0.873
Na 0.625 0.989 0.005
Na 0.670 0.392 0.432
Na 0.850 0.888 0.421
Na 0.908 0.690 0.871
Ti 0.000 0.412 0.719
Ti 0.044 0.291 0.143
Ti 0.046 0.794 0.145
Ti 0.095 0.170 0.577
Ti 0.099 0.669 0.590
Ti 0.152 0.481 0.024
Ti 0.275 0.111 0.272
Ti 0.323 0.913 0.698
Ti 0.331 0.418 0.715
Ti 0.376 0.804 0.138
Ti 0.377 0.287 0.140
Ti 0.426 0.176 0.575
Ti 0.435 0.662 0.586
Ti 0.485 0.487 0.025
Ti 0.608 0.102 0.268
Ti 0.656 0.921 0.702
Ti 0.667 0.412 0.717
Ti 0.715 0.301 0.152
Ti 0.719 0.784 0.156
Ti 0.763 0.169 0.580
Ti 0.771 0.672 0.594
Ti 0.818 0.478 0.021
Ti 0.940 0.101 0.266
Ti 0.995 0.923 0.706
O 0.015 0.598 0.085
O 0.017 0.074 0.420
O 0.078 0.513 0.872
O 0.079 0.989 0.206
O 0.095 0.846 0.576
O 0.119 0.237 0.297
O 0.136 0.511 0.659
O 0.155 0.807 0.034
O 0.179 0.303 0.739
O 0.191 0.168 0.105
O 0.210 0.974 0.800
O 0.215 0.611 0.488
O 0.235 0.418 0.187
O 0.247 0.285 0.552
O 0.265 0.776 0.253
O 0.291 0.076 0.632
O 0.309 0.351 0.996
O 0.330 0.738 0.714
O 0.349 0.075 0.421
O 0.349 0.599 0.086
O 0.409 0.513 0.873
O 0.409 0.989 0.209
O 0.427 0.844 0.576
O 0.458 0.235 0.295
O 0.473 0.515 0.663
O 0.493 0.803 0.037
O 0.506 0.303 0.738
O 0.527 0.170 0.099
O 0.539 0.972 0.802
O 0.554 0.611 0.488
O 0.568 0.417 0.196
O 0.586 0.284 0.553
O 0.600 0.783 0.256
O 0.619 0.071 0.627
O 0.637 0.353 0.000
O 0.663 0.739 0.713
O 0.685 0.076 0.420
O 0.685 0.598 0.086
O 0.743 0.512 0.872
O 0.743 0.987 0.206
O 0.762 0.846 0.577
O 0.789 0.238 0.299
O 0.803 0.511 0.662
O 0.828 0.810 0.040
O 0.843 0.302 0.739
O 0.858 0.168 0.103
O 0.873 0.965 0.803
O 0.886 0.605 0.494
O 0.907 0.417 0.195
O 0.917 0.284 0.552
O 0.938 0.781 0.259
O 0.955 0.072 0.630
O 0.971 0.352 0.997
O 0.999 0.741 0.716
CELL_PARAMETERS angstrom
8.864 0.000 0.000
-0.004 10.734 0.000
-4.423 -2.568 11.372

=====

No. 6
! NaTiO2, relaxed, DFT PBE-GGA; values from VASP
! **Spin magnetization**: 0.0 μB per cell
! **Formation enthalpy at 0 K**: -2.7137 eV/atom
&SYSTEM
  ibrav = 0, nat = 32, ntyp = 3
/
ATOMIC_SPECIES
Na 22.99 Na.upf
Ti 47.87 Ti.upf
O 16.00 O.upf
ATOMIC_POSITIONS crystal
Na 0.088 0.186 0.113
Na 0.088 0.314 0.613
Na 0.412 0.686 0.113
Na 0.412 0.814 0.613
Na 0.588 0.186 0.387
Na 0.588 0.314 0.887
Na 0.912 0.686 0.387
Na 0.912 0.814 0.887
Ti 0.122 0.058 0.670
Ti 0.122 0.442 0.170
Ti 0.378 0.558 0.670
Ti 0.378 0.942 0.170
Ti 0.622 0.058 0.830
Ti 0.622 0.442 0.330
Ti 0.878 0.558 0.830
Ti 0.878 0.942 0.330
O 0.106 0.668 0.734
O 0.106 0.832 0.234
O 0.203 0.044 0.359
O 0.203 0.456 0.859
O 0.297 0.544 0.359
O 0.297 0.956 0.859
O 0.394 0.168 0.734
O 0.394 0.332 0.234
O 0.606 0.668 0.766
O 0.606 0.832 0.266
O 0.703 0.044 0.141
O 0.703 0.456 0.641
O 0.797 0.544 0.141
O 0.797 0.956 0.641
O 0.894 0.168 0.766
O 0.894 0.332 0.266
CELL_PARAMETERS angstrom
5.441 0.000 0.000
0.000 12.291 0.000
0.000 0.000 6.103

=====

No. 7
! NaTlO2, relaxed, DFT PBE-GGA; values from VASP
! **Spin magnetization**: 0.0 μB per cell
! **Formation enthalpy at 0 K**: -1.2813 eV/atom
&SYSTEM
  ibrav = 0, nat = 4, ntyp = 3
/
ATOMIC_SPECIES
Na 22.99 Na.upf
Tl 204.38 Tl.upf
O 16.00 O.upf
ATOMIC_POSITIONS crystal
Na 0.000 0.000 0.000
Tl 0.500 0.500 0.500
O 0.000 0.000 0.500
O 0.500 0.500 0.000
CELL_PARAMETERS angstrom
3.455 0.000 0.000
0.000 3.455 0.000
0.000 0.000 4.519

=====

No. 8
! Na5TlO4, relaxed, DFT PBE-GGA; values from VASP
! **Formation enthalpy at 0 K**: -1.4912 eV/atom
&SYSTEM
  ibrav = 0, nat = 80, ntyp = 3
/
ATOMIC_SPECIES
Na 22.99 Na.upf
Tl 204.38 Tl.upf
O 16.00 O.upf
ATOMIC_POSITIONS crystal
Na 0.102 0.150 0.123
Na 0.102 0.350 0.623
Na 0.105 0.660 0.882
Na 0.105 0.840 0.382
Na 0.126 0.618 0.150
Na 0.126 0.882 0.650
Na 0.146 0.109 0.389
Na 0.146 0.391 0.889
Na 0.162 0.617 0.608
Na 0.162 0.883 0.108
Na 0.338 0.117 0.608
Na 0.338 0.383 0.108
Na 0.354 0.609 0.389
Na 0.354 0.891 0.889
Na 0.374 0.118 0.150
Na 0.374 0.382 0.650
Na 0.395 0.160 0.882
Na 0.395 0.340 0.382
Na 0.398 0.650 0.123
Na 0.398 0.850 0.623
Na 0.602 0.150 0.377
Na 0.602 0.350 0.877
Na 0.605 0.660 0.618
Na 0.605 0.840 0.118
Na 0.626 0.618 0.350
Na 0.626 0.882 0.850
Na 0.646 0.109 0.111
Na 0.646 0.391 0.611
Na 0.662 0.617 0.892
Na 0.662 0.883 0.392
Na 0.838 0.117 0.892
Na 0.838 0.383 0.392
Na 0.854 0.609 0.111
Na 0.854 0.891 0.611
Na 0.874 0.118 0.350
Na 0.874 0.382 0.850
Na 0.895 0.160 0.618
Na 0.895 0.340 0.118
Na 0.898 0.650 0.377
Na 0.898 0.850 0.877
Tl 0.117 0.115 0.850
Tl 0.117 0.385 0.350
Tl 0.383 0.615 0.850
Tl 0.383 0.885 0.350
Tl 0.617 0.115 0.650
Tl 0.617 0.385 0.150
Tl 0.883 0.615 0.650
Tl 0.883 0.885 0.150
O 0.000 0.245 0.960
O 0.000 0.255 0.460
O 0.000 0.745 0.540
O 0.000 0.755 0.040
O 0.018 0.506 0.749
O 0.018 0.994 0.249
O 0.239 0.245 0.752
O 0.239 0.255 0.252
O 0.244 0.041 0.991
O 0.244 0.459 0.491
O 0.256 0.541 0.991
O 0.256 0.959 0.491
O 0.261 0.745 0.752
O 0.261 0.755 0.252
O 0.482 0.006 0.749
O 0.482 0.494 0.249
O 0.500 0.245 0.540
O 0.500 0.255 0.040
O 0.500 0.745 0.960
O 0.500 0.755 0.460
O 0.518 0.506 0.751
O 0.518 0.994 0.251
O 0.739 0.245 0.748
O 0.739 0.255 0.248
O 0.744 0.041 0.509
O 0.744 0.459 0.009
O 0.756 0.541 0.509
O 0.756 0.959 0.009
O 0.761 0.745 0.748
O 0.761 0.755 0.248
O 0.982 0.006 0.751
O 0.982 0.494 0.251
CELL_PARAMETERS angstrom
10.871 0.000 0.000
0.000 10.939 0.000
0.000 0.000 10.908

=====

No. 9
! NaTlO, relaxed, DFT PBE-GGA; values from VASP
! **Formation enthalpy at 0 K**: -1.1788 eV/atom
! **Energy above the lowest structure with this stoichiometry**: 0.0000 eV/atom
&SYSTEM
  ibrav = 0, nat = 6, ntyp = 3
/
ATOMIC_SPECIES
Na 22.99 Na.upf
Tl 204.38 Tl.upf
O 16.00 O.upf
ATOMIC_POSITIONS crystal
Na 0.333 0.667 0.000
Na 0.667 0.333 0.500
Tl 0.333 0.667 0.721
Tl 0.667 0.333 0.221
O 0.000 0.000 0.096
O 0.000 0.000 0.596
CELL_PARAMETERS angstrom
3.555 0.000 0.000
-1.778 3.079 0.000
0.000 0.000 11.563

=====

No. 10
! NaTlO, relaxed, DFT PBE-GGA; values from VASP
! **Spin magnetization**: 0.0 μB per cell
! **Formation enthalpy at 0 K**: -1.1169 eV/atom
! **Energy above the lowest structure with this stoichiometry**: 0.0619 eV/atom
&SYSTEM
  ibrav = 0, nat = 12, ntyp = 3
/
ATOMIC_SPECIES
Na 22.99 Na.upf
Tl 204.38 Tl.upf
O 16.00 O.upf
ATOMIC_POSITIONS crystal
Na 0.000 0.000 0.000
Na 0.007 0.000 0.326
Na 0.510 0.500 0.005
Na 0.838 0.500 0.841
Tl 0.337 0.000 0.527
Tl 0.338 0.000 0.821
Tl 0.502 0.500 0.294
Tl 0.843 0.500 0.524
O 0.171 0.500 0.936
O 0.173 0.500 0.398
O 0.664 0.000 0.922
O 0.675 0.000 0.406
CELL_PARAMETERS angstrom
6.143 0.000 0.000
0.000 3.649 0.000
-0.012 0.000 12.802